This record from the Materials Project database describes an optimized crystal structure of Ce2Fe2S2O3. The functional is GGA+U.

abc: 9.3916 9.3916 9.3916
angles: 155.11 155.11 35.49
Sites, in units of the cell vectors:
Fe 0.0000 0.5000 0.5000
Fe 0.5000 0.0000 0.5000
Ce 0.6826 0.6826 0.0000
Ce 0.3174 0.3174 0.0000
O 0.5000 0.5000 0.0000
O 0.7500 0.2500 0.5000
O 0.2500 0.7500 0.5000
S 0.9029 0.9029 0.0000
S 0.0971 0.0971 0.0000

Results
The space-group type is I4/mmm (139). For the energy relative to the elements, the calculation gives -2.31 eV/atom.

This record from the Materials Project database describes an optimized crystal structure of Ce2FeSe2O2. The functional is GGA+U.

abc: 6.0467 6.0467 7.1585
angles: 60.21 60.21 37.83
Sites, in units of the cell vectors:
Ce 0.6911 0.6911 0.7582
Ce 0.3089 0.3089 0.2418
Se 0.9398 0.9398 0.8238
Se 0.0602 0.0602 0.1762
Fe 0.5000 0.5000 0.5000
O 0.3024 0.3024 0.5808
O 0.6976 0.6976 0.4192

Results
For the polymorph energy (0 for the lowest one), the calculation gives 0 meV/atom. The space-group type is C2/m (12). For the energy relative to the elements, the calculation gives -2.33 eV/atom.

- What is the energy relative to the elements in the first record?
  -2.31 eV/atom

- Among the records above, which one has the lowest energy relative to the elements?
  Ce2FeSe2O2

Please write out number 2 again, unchanged.
This record from the Materials Project database describes an optimized crystal structure of Ce2FeSe2O2. The functional is GGA+U.

abc: 6.0467 6.0467 7.1585
angles: 60.21 60.21 37.83
Sites, in units of the cell vectors:
Ce 0.6911 0.6911 0.7582
Ce 0.3089 0.3089 0.2418
Se 0.9398 0.9398 0.8238
Se 0.0602 0.0602 0.1762
Fe 0.5000 0.5000 0.5000
O 0.3024 0.3024 0.5808
O 0.6976 0.6976 0.4192

Results
For the polymorph energy (0 for the lowest one), the calculation gives 0 meV/atom. The space-group type is C2/m (12). For the energy relative to the elements, the calculation gives -2.33 eV/atom.